(1)
{
  "formula": "GdScSi",
  "functional": "r²SCAN",
  "state": "optimized geometry",
  "magnetic_moment_mub_per_atom": 2.68,
  "cell": [[-2.1140, 2.1140, 7.7918], [2.1140, -2.1140, 7.7918], [2.1140, 2.1140, -7.7918]],
  "species": ["Gd", "Gd", "Sc", "Sc", "Si", "Si"],
  "fractional_positions": [[0.1782, 0.1782, 0.0000], [0.8218, 0.8218, 0.0000], [0.0000, 0.5000, 0.5000], [0.5000, 0.0000, 0.5000], [0.3755, 0.3755, 0.0000], [0.6245, 0.6245, 0.0000]]
}



(2)
{
  "formula": "Gd2Se3",
  "functional": "r²SCAN",
  "state": "optimized geometry",
  "magnetic_moment_mub_per_atom": 0.00,
  "cell": [[11.2247, 0.0000, 0.0000], [0.0000, 4.0711, 0.0000], [0.0000, 0.0000, 11.0623]],
  "species": ["Gd", "Gd", "Gd", "Gd", "Gd", "Gd", "Gd", "Gd", "Se", "Se", "Se", "Se", "Se", "Se", "Se", "Se", "Se", "Se", "Se", "Se"],
  "fractional_positions": [[0.0109, 0.2500, 0.1872], [0.1927, 0.2500, 0.5036], [0.3073, 0.7500, 0.0036], [0.4891, 0.7500, 0.6872], [0.5109, 0.2500, 0.3128], [0.6927, 0.2500, 0.9964], [0.8073, 0.7500, 0.4964], [0.9891, 0.7500, 0.8128], [0.0457, 0.7500, 0.3736], [0.1194, 0.2500, 0.9442], [0.2272, 0.7500, 0.6968], [0.2728, 0.2500, 0.1968], [0.3806, 0.7500, 0.4442], [0.4543, 0.2500, 0.8736], [0.5457, 0.7500, 0.1264], [0.6194, 0.2500, 0.5558], [0.7272, 0.7500, 0.8032], [0.7728, 0.2500, 0.3032], [0.8806, 0.7500, 0.0558], [0.9543, 0.2500, 0.6264]]
}



(3)
{
  "formula": "GdSe",
  "functional": "r²SCAN",
  "state": "optimized geometry",
  "magnetic_moment_mub_per_atom": 3.55,
  "cell": [[0.0000, 2.9116, 2.9116], [2.9116, 0.0000, 2.9116], [2.9116, 2.9116, 0.0000]],
  "species": ["Gd", "Se"],
  "fractional_positions": [[0.0000, 0.0000, 0.0000], [0.5000, 0.5000, 0.5000]]
}



(4)
{
  "formula": "Gd2ZrSe5",
  "functional": "r²SCAN",
  "state": "optimized geometry",
  "magnetic_moment_mub_per_atom": 0.06,
  "cell": [[7.6502, 0.0000, 0.0000], [-0.0020, 8.1689, 0.0000], [-0.0002, -0.0018, 12.1658]],
  "species": ["Gd", "Gd", "Gd", "Gd", "Gd", "Gd", "Gd", "Gd", "Zr", "Zr", "Zr", "Zr", "Se", "Se", "Se", "Se", "Se", "Se", "Se", "Se", "Se", "Se", "Se", "Se", "Se", "Se", "Se", "Se", "Se", "Se", "Se", "Se"],
  "fractional_positions": [[0.0000, 0.0000, 0.0000], [0.9999, 0.4930, 0.0000], [0.0486, 0.4995, 0.6419], [0.0491, 0.9928, 0.6416], [0.4997, 0.5000, 0.1421], [0.5001, 0.9930, 0.1420], [0.5494, 0.9999, 0.5003], [0.5488, 0.4930, 0.5004], [0.1032, 0.7465, 0.3272], [0.4451, 0.7464, 0.8269], [0.6033, 0.2464, 0.8148], [0.9454, 0.2466, 0.3151], [0.0744, 0.7469, 0.8247], [0.1870, 0.0340, 0.4133], [0.1872, 0.4591, 0.4127], [0.1905, 0.2464, 0.1396], [0.2122, 0.7465, 0.1130], [0.3373, 0.7470, 0.6128], [0.3592, 0.2462, 0.6394], [0.3624, 0.0339, 0.9136], [0.3618, 0.4591, 0.9136], [0.4746, 0.7466, 0.3245], [0.5745, 0.2467, 0.3175], [0.6863, 0.5340, 0.7289], [0.6872, 0.9590, 0.7286], [0.6904, 0.7464, 0.0023], [0.7120, 0.2467, 0.0291], [0.8366, 0.2464, 0.5290], [0.8580, 0.7474, 0.5021], [0.8620, 0.5339, 0.2284], [0.8621, 0.9593, 0.2283], [0.9742, 0.2456, 0.8179]]
}



(5)
{
  "formula": "GdSi",
  "functional": "r²SCAN",
  "state": "optimized geometry",
  "magnetic_moment_mub_per_atom": 3.81,
  "cell": [[5.7643, 0.0000, 0.0000], [0.0000, 3.8903, 0.0000], [-0.0041, 0.0000, 7.9441]],
  "species": ["Gd", "Gd", "Gd", "Gd", "Si", "Si", "Si", "Si"],
  "fractional_positions": [[0.1155, 0.2500, 0.3208], [0.3838, 0.2500, 0.8207], [0.6162, 0.7500, 0.1793], [0.8845, 0.7500, 0.6792], [0.1211, 0.7500, 0.0339], [0.3797, 0.7500, 0.5335], [0.6203, 0.2500, 0.4665], [0.8789, 0.2500, 0.9661]]
}



(6)
{
  "formula": "GdSi2",
  "functional": "r²SCAN",
  "state": "optimized geometry",
  "magnetic_moment_mub_per_atom": 2.32,
  "cell": [[4.0593, 0.0000, 0.0000], [-2.0297, 3.5155, 0.0000], [0.0000, 0.0000, 4.0715]],
  "species": ["Gd", "Si", "Si"],
  "fractional_positions": [[0.0000, 0.0000, 0.0000], [0.3333, 0.6667, 0.5000], [0.6667, 0.3333, 0.5000]]
}



| no. | energy relative to the elements (meV/atom) |
| --- | --- |
| 1 | -726 |
| 2 | -2144 |
| 3 | -2009 |
| 4 | -1642 |
| 5 | -836 |
| 6 | -543 |